The following is a PBE calculation of a geometry-optimized MgMoW3Se6S2 structure, from the Materials Project.

Structure (extended XYZ):
```
13
Lattice="-1.246 2.939 0.769 -0.290 -1.157 -3.059 -40.013 -19.930 11.337" Properties=species:S:1:pos:R:3 pbc="T T T"
Se -13.631 -6.278 1.907
Se -10.683 -4.810 1.072
Se -28.393 -13.631 6.089
Se -5.844 -0.875 0.886
Se -25.450 -12.165 5.255
Se -2.888 0.597 0.049
S -18.382 -7.121 4.439
S -21.053 -8.451 5.195
W -19.399 -9.151 3.541
W -27.240 -11.533 6.948
W -4.043 -1.502 -0.810
Mo -12.487 -4.184 2.768
Mg -7.635 -3.803 2.163
```

Properties
DFT formation energy = -796 kJ/mol of formula units
raw total energy = -6.755 eV/atom
relative energy among the computed polymorphs = 0 meV per atom
magnetic moment = 0.0 μB/f.u.